[1]
First-principles (PBE-GGA) data for crystalline Mg16Al12Mo at its relaxed geometry, as listed in Materials Project. Values from VASP.

Properties
Total magnetization in μB per cell: 0.001
Calculated total energy in eV per cell: -81.08
Energy relative to the elements in eV/atom: 0.01
Crystal system: trigonal

Cell and atoms, written as Quantum ESPRESSO input:
```
&SYSTEM
  ibrav = 0, nat = 29, ntyp = 3
/
ATOMIC_SPECIES
Al 26.98 Al.upf
Mg 24.30 Mg.upf
Mo 95.94 Mo.upf
ATOMIC_POSITIONS crystal
Al 0.3668 0.1853 0.0026
Al 0.8371 0.6457 0.6457
Al 0.6457 0.6457 0.8371
Al 0.1919 0.8127 0.8127
Al 0.0026 0.3668 0.1853
Al 0.1853 0.0026 0.3668
Al 0.6457 0.8371 0.6457
Al 0.1853 0.3668 0.0026
Al 0.8127 0.8127 0.1919
Al 0.8127 0.1919 0.8127
Al 0.3668 0.0026 0.1853
Al 0.0026 0.1853 0.3668
Mg 0.0085 0.0085 0.6508
Mg 0.0025 0.6814 0.4028
Mg 0.3195 0.3195 0.7142
Mg 0.5838 0.5838 0.3006
Mg 0.6814 0.4028 0.0025
Mg 0.9938 0.9938 0.9938
Mg 0.3006 0.5838 0.5838
Mg 0.4028 0.6814 0.0025
Mg 0.5838 0.3006 0.5838
Mg 0.6508 0.0085 0.0085
Mg 0.6814 0.0025 0.4028
Mg 0.3195 0.7142 0.3195
Mg 0.7142 0.3195 0.3195
Mg 0.0025 0.4028 0.6814
Mg 0.4028 0.0025 0.6814
Mg 0.0085 0.6508 0.0085
Mo 0.2882 0.2882 0.2882
CELL_PARAMETERS angstrom
-5.9289 0.8124 -6.6058
-4.2343 -3.2003 7.1608
3.0796 8.1246 1.9890
```

=====

[2]
First-principles (PBE-GGA) data for crystalline Mg6AlMo at its relaxed geometry, as listed in Materials Project. Values from VASP.

Properties
Total magnetization in μB per cell: 0.005
Calculated total energy in eV per cell: -45.94
Energy relative to the elements in eV/atom: 0.15
Offset from the most stable computed form in meV per atom: 0

Cell and atoms, written as Quantum ESPRESSO input:
```
&SYSTEM
  ibrav = 0, nat = 16, ntyp = 3
/
ATOMIC_SPECIES
Mg 24.30 Mg.upf
Al 26.98 Al.upf
Mo 95.94 Mo.upf
ATOMIC_POSITIONS crystal
Mg 0.5000 0.2546 0.4174
Mg 0.0000 0.0000 0.3335
Mg 0.5000 0.2454 0.9174
Mg 0.0000 0.2376 0.5872
Mg 0.5000 0.0000 0.1661
Mg 0.0000 0.5000 0.8335
Mg 0.5000 0.7454 0.4174
Mg 0.5000 0.5000 0.6661
Mg 0.0000 0.7376 0.0872
Mg 0.0000 0.2624 0.0872
Mg 0.5000 0.7546 0.9174
Mg 0.0000 0.7624 0.5872
Al 0.0000 0.5000 0.3151
Al 0.0000 0.0000 0.8151
Mo 0.5000 0.0000 0.6761
Mo 0.5000 0.5000 0.1761
CELL_PARAMETERS angstrom
4.8183 0.0000 0.0000
0.0000 6.1569 0.0000
0.0000 0.0000 10.6424
```

=====

[3]
First-principles (PBE-GGA) data for crystalline MgAlMoS4 at its relaxed geometry, as listed in Materials Project. Values from VASP.

Properties
Total magnetization in μB per cell: 6.000
Calculated total energy in eV per cell: -77.95
Energy relative to the elements in eV/atom: -1.18
Crystal system: orthorhombic

Cell and atoms, written as Quantum ESPRESSO input:
```
&SYSTEM
  ibrav = 0, nat = 14, ntyp = 4
/
ATOMIC_SPECIES
Mg 24.30 Mg.upf
Mo 95.94 Mo.upf
S 32.06 S.upf
Al 26.98 Al.upf
ATOMIC_POSITIONS crystal
Mg 0.1269 0.1231 0.1231
Mg 0.8731 0.8769 0.8769
Mo 0.5000 0.0000 0.5000
Mo 0.5000 0.5000 0.0000
S 0.2583 0.7141 0.2693
S 0.2531 0.2659 0.2659
S 0.7469 0.7341 0.7341
S 0.7417 0.7307 0.2859
S 0.7152 0.2659 0.2659
S 0.7417 0.2859 0.7307
S 0.2583 0.2693 0.7141
S 0.2848 0.7341 0.7341
Al 0.0000 0.5000 0.5000
Al 0.5000 0.5000 0.5000
CELL_PARAMETERS angstrom
-0.4974 7.0578 -1.6721
-5.0593 4.1702 3.3020
2.1375 5.0512 4.8793
```

=====

[4]
First-principles (PBE-GGA) data for crystalline Mg2Al3MoS8 at its relaxed geometry, as listed in Materials Project. Values from VASP.

Properties
Total magnetization in μB per cell: 3.000
Calculated total energy in eV per cell: -72.92
Energy relative to the elements in eV/atom: -1.33
Crystal system: trigonal

Cell and atoms, written as Quantum ESPRESSO input:
```
&SYSTEM
  ibrav = 0, nat = 14, ntyp = 4
/
ATOMIC_SPECIES
Al 26.98 Al.upf
Mo 95.94 Mo.upf
S 32.06 S.upf
Mg 24.30 Mg.upf
ATOMIC_POSITIONS crystal
Al 0.5000 0.5000 0.5000
Al 0.5000 0.5000 0.0000
Al 0.0000 0.5000 0.5000
Mo 0.5000 0.0000 0.5000
S 0.2582 0.2696 0.2582
S 0.7418 0.7304 0.7418
S 0.7418 0.7304 0.2860
S 0.2582 0.2696 0.7140
S 0.2860 0.7304 0.7418
S 0.7140 0.2696 0.2582
S 0.2620 0.7141 0.2620
S 0.7380 0.2859 0.7380
Mg 0.1262 0.1215 0.1262
Mg 0.8738 0.8785 0.8738
CELL_PARAMETERS angstrom
6.2711 -0.0001 3.6208
2.0904 6.0268 3.6207
0.0001 -0.0001 7.2414
```

=====

[5]
First-principles (PBE-GGA) data for crystalline Mg3Al2N4 at its relaxed geometry, as listed in Materials Project. Values from VASP.

Properties
Total magnetization in μB per cell: 0.002
Calculated total energy in eV per cell: -108.24
Energy relative to the elements in eV/atom: -1.10
Crystal system: monoclinic

Cell and atoms, written as Quantum ESPRESSO input:
```
&SYSTEM
  ibrav = 0, nat = 18, ntyp = 3
/
ATOMIC_SPECIES
Mg 24.30 Mg.upf
N 14.01 N.upf
Al 26.98 Al.upf
ATOMIC_POSITIONS crystal
Mg 0.2247 0.9877 0.9687
Mg 0.0000 0.5979 0.7500
Mg 0.7753 0.7629 0.5313
Mg 0.2247 0.2371 0.4687
Mg 0.7753 0.0123 0.0313
Mg 0.0000 0.4021 0.2500
N 0.2828 0.5501 0.5669
N 0.2407 0.2836 0.0662
N 0.7593 0.7164 0.9338
N 0.7172 0.2674 0.9331
N 0.2407 0.9571 0.5662
N 0.2828 0.7326 0.0669
N 0.7593 0.0429 0.4338
N 0.7172 0.4499 0.4331
Al 0.3796 0.5659 0.8934
Al 0.3796 0.8138 0.3934
Al 0.6204 0.1862 0.6066
Al 0.6204 0.4341 0.1066
CELL_PARAMETERS angstrom
6.1848 0.2237 0.0636
-4.4808 5.7259 0.0000
-0.0311 -0.0243 5.4902
```

=====

[6]
First-principles (PBE-GGA) data for crystalline Mg16Al12N at its relaxed geometry, as listed in Materials Project. Values from VASP.

Properties
Total magnetization in μB per cell: 0.004
Calculated total energy in eV per cell: -79.26
Energy relative to the elements in eV/atom: -0.03
Crystal system: monoclinic

Cell and atoms, written as Quantum ESPRESSO input:
```
&SYSTEM
  ibrav = 0, nat = 29, ntyp = 3
/
ATOMIC_SPECIES
Al 26.98 Al.upf
Mg 24.30 Mg.upf
N 14.01 N.upf
ATOMIC_POSITIONS crystal
Al 0.1967 0.8424 0.1928
Al 0.1685 0.1788 0.8130
Al 0.6169 0.9754 0.8141
Al 0.3554 0.3658 0.1870
Al 0.6185 0.7904 0.0000
Al 0.8028 0.1613 0.1859
Al 0.8306 0.6491 0.0000
Al 0.3757 0.1964 0.3860
Al 0.1647 0.3544 0.3669
Al 0.7978 0.9874 0.6331
Al 0.9897 0.8104 0.6140
Al 0.0039 0.6496 0.8072
Mg 0.6828 0.2880 0.7146
Mg 0.6424 0.6423 0.6533
Mg 0.3093 0.9961 0.6020
Mg 0.7073 0.3940 0.3980
Mg 0.0042 0.9941 0.0000
Mg 0.9865 0.3100 0.6015
Mg 0.9682 0.5734 0.2854
Mg 0.5890 0.9973 0.3208
Mg 0.9891 0.9890 0.3467
Mg 0.6618 0.6693 0.2745
Mg 0.2682 0.6765 0.6792
Mg 0.3850 0.7084 0.3985
Mg 0.2997 0.5980 0.0000
Mg 0.9849 0.3206 0.0000
Mg 0.3754 0.0363 0.0000
Mg 0.3873 0.3948 0.7255
N 0.8379 0.4506 0.0000
CELL_PARAMETERS angstrom
7.5319 -4.2324 3.1160
0.0927 8.6351 3.1098
-7.4452 -4.2988 2.8196
```

=====

[7]
First-principles (PBE-GGA) data for crystalline NaMg16Al12 at its relaxed geometry, as listed in Materials Project. Values from VASP.

Properties
Total magnetization in μB per cell: 0.030
Calculated total energy in eV per cell: -72.32
Energy relative to the elements in eV/atom: -0.02
Crystal system: cubic
Offset from the most stable computed form in meV per atom: 2

Cell and atoms, written as Quantum ESPRESSO input:
```
&SYSTEM
  ibrav = 0, nat = 29, ntyp = 3
/
ATOMIC_SPECIES
Al 26.98 Al.upf
Mg 24.30 Mg.upf
Na 22.99 Na.upf
ATOMIC_POSITIONS crystal
Al 0.3690 0.1819 0.3690
Al 0.8129 0.0000 0.6310
Al 0.1819 0.3690 0.3690
Al 0.6310 0.0000 0.8129
Al 0.6310 0.8129 0.0000
Al 0.0000 0.6310 0.8129
Al 0.3690 0.3690 0.1819
Al 0.1871 0.1871 0.8181
Al 0.8181 0.1871 0.1871
Al 0.8129 0.6310 0.0000
Al 0.0000 0.8129 0.6310
Al 0.1871 0.8181 0.1871
Mg 0.6020 0.0000 0.3166
Mg 0.3980 0.3980 0.7146
Mg 0.3166 0.0000 0.6020
Mg 0.3466 0.0000 0.0000
Mg 0.0000 0.0000 0.3466
Mg 0.6834 0.2854 0.6834
Mg 0.6834 0.6834 0.2854
Mg 0.0000 0.3466 0.0000
Mg 0.6020 0.3166 0.0000
Mg 0.0000 0.3166 0.6020
Mg 0.0000 0.6020 0.3166
Mg 0.3166 0.6020 0.0000
Mg 0.3980 0.7146 0.3980
Mg 0.6534 0.6534 0.6534
Mg 0.2854 0.6834 0.6834
Mg 0.7146 0.3980 0.3980
Na 0.0000 0.0000 0.0000
CELL_PARAMETERS angstrom
5.7038 -3.3813 -6.3202
1.7718 -3.8863 8.1037
-8.6504 -1.7948 -2.4210
```

=====

[8]
First-principles (PBE-GGA) data for crystalline NaMg16Al12 at its relaxed geometry, as listed in Materials Project. Values from VASP.

Properties
Total magnetization in μB per cell: 0.002
Calculated total energy in eV per cell: -72.15
Energy relative to the elements in eV/atom: -0.01
Crystal system: monoclinic
Offset from the most stable computed form in meV per atom: 8

Cell and atoms, written as Quantum ESPRESSO input:
```
&SYSTEM
  ibrav = 0, nat = 29, ntyp = 3
/
ATOMIC_SPECIES
Mg 24.30 Mg.upf
Al 26.98 Al.upf
Na 22.99 Na.upf
ATOMIC_POSITIONS crystal
Mg 0.3148 0.9995 0.3978
Mg 0.6843 0.6843 0.7140
Mg 0.6613 0.6613 0.3416
Mg 0.3444 0.9999 0.9997
Mg 0.7126 0.3980 0.6019
Mg 0.9999 0.3444 0.9997
Mg 0.9995 0.3148 0.3978
Mg 0.0008 0.0008 0.6565
Mg 0.2842 0.6853 0.3170
Mg 0.3980 0.7126 0.6019
Mg 0.6022 0.0003 0.6839
Mg 0.0003 0.6022 0.6839
Mg 0.6853 0.2842 0.3170
Mg 0.6046 0.3159 0.9977
Mg 0.3159 0.6046 0.9977
Mg 0.0014 0.0014 0.9994
Al 0.9990 0.6322 0.1859
Al 0.3647 0.1771 0.6401
Al 0.8120 0.9986 0.3670
Al 0.1843 0.8175 0.8163
Al 0.1771 0.3647 0.6401
Al 0.9986 0.8120 0.3670
Al 0.1786 0.1786 0.1808
Al 0.6322 0.9990 0.1859
Al 0.8175 0.1843 0.8163
Al 0.6364 0.8195 0.9956
Al 0.8195 0.6364 0.9956
Al 0.3661 0.3661 0.8218
Na 0.4043 0.4043 0.2797
CELL_PARAMETERS angstrom
1.8916 -7.5845 4.7299
3.9101 7.1495 4.1316
-3.3046 0.7987 8.5189
```

=====

[9]
First-principles (PBE-GGA) data for crystalline NaMg16Al12 at its relaxed geometry, as listed in Materials Project. Values from VASP.

Properties
Total magnetization in μB per cell: 0.001
Calculated total energy in eV per cell: -72.37
Energy relative to the elements in eV/atom: -0.02
Crystal system: trigonal
Offset from the most stable computed form in meV per atom: 0

Cell and atoms, written as Quantum ESPRESSO input:
```
&SYSTEM
  ibrav = 0, nat = 29, ntyp = 3
/
ATOMIC_SPECIES
Mg 24.30 Mg.upf
Al 26.98 Al.upf
Na 22.99 Na.upf
ATOMIC_POSITIONS crystal
Mg 0.0001 0.3156 0.6031
Mg 0.3145 0.0000 0.6011
Mg 0.9982 0.0000 0.3419
Mg 0.3970 0.7125 0.3969
Mg 0.0016 0.0000 0.0000
Mg 0.6063 0.0000 0.3210
Mg 0.6845 0.6844 0.2875
Mg 0.3145 0.6011 0.0000
Mg 0.6063 0.3210 0.0000
Mg 0.0001 0.6031 0.3156
Mg 0.6562 0.6581 0.6581
Mg 0.6845 0.2875 0.6844
Mg 0.3970 0.3969 0.7125
Mg 0.2853 0.6790 0.6790
Mg 0.9982 0.3419 0.0000
Mg 0.7134 0.3989 0.3989
Al 0.8191 0.1849 0.1849
Al 0.1795 0.3661 0.3661
Al 0.3644 0.3680 0.1816
Al 0.8135 0.6339 0.0000
Al 0.1828 0.8184 0.1864
Al 0.9964 0.6320 0.8136
Al 0.1828 0.1864 0.8184
Al 0.8135 0.0000 0.6339
Al 0.6342 0.0000 0.8151
Al 0.3644 0.1816 0.3680
Al 0.6342 0.8151 0.0000
Al 0.9964 0.8136 0.6320
Na 0.3611 0.0000 0.0000
CELL_PARAMETERS angstrom
7.4275 -4.2883 3.0323
0.0322 8.6695 3.0848
-7.4919 -4.3626 3.0848
```

=====

[10]
First-principles (PBE-GGA) data for crystalline Na7MgAl3P6O24 at its relaxed geometry, as listed in Materials Project. Values from VASP.

Properties
Total magnetization in μB per cell: 0.000
Calculated total energy in eV per cell: -820.54
Energy relative to the elements in eV/atom: -2.85
Crystal system: triclinic

Cell and atoms, written as Quantum ESPRESSO input:
```
&SYSTEM
  ibrav = 0, nat = 123, ntyp = 5
/
ATOMIC_SPECIES
O 16.00 O.upf
P 30.97 P.upf
Na 22.99 Na.upf
Al 26.98 Al.upf
Mg 24.30 Mg.upf
ATOMIC_POSITIONS crystal
O 0.9786 0.8112 0.8068
O 0.8095 0.8348 0.9100
O 0.1769 0.4809 0.2560
O 0.3090 0.8437 0.9744
O 0.1767 0.7009 0.7566
O 0.4679 0.3096 0.7484
O 0.5186 0.6969 0.2552
O 0.6280 0.1106 0.1397
O 0.3133 0.4784 0.4730
O 0.1851 0.1628 0.0883
O 0.5038 0.6583 0.5746
O 0.1820 0.0170 0.5883
O 0.5253 0.8425 0.4762
O 0.1232 0.4876 0.8548
O 0.5016 0.8706 0.3593
O 0.3643 0.8684 0.8581
O 0.4992 0.1440 0.9213
O 0.9764 0.1619 0.5892
O 0.6976 0.5358 0.5267
O 0.8392 0.2996 0.5261
O 0.0356 0.1990 0.1963
O 0.5244 0.8237 0.7572
O 0.5029 0.8474 0.0728
O 0.1778 0.1973 0.4154
O 0.8534 0.3551 0.9236
O 0.6403 0.4968 0.9239
O 0.6342 0.1447 0.4234
O 0.0353 0.8289 0.6905
O 0.7967 0.9647 0.6925
O 0.4621 0.1554 0.5248
O 0.9729 0.1895 0.3124
O 0.8023 0.9789 0.4163
O 0.4838 0.1120 0.6415
O 0.8558 0.4897 0.4242
O 0.3011 0.4764 0.7570
O 0.1589 0.6860 0.4762
O 0.4602 0.2999 0.0245
O 0.3033 0.8220 0.2555
O 0.6772 0.5220 0.2445
O 0.6896 0.1580 0.7482
O 0.1504 0.4987 0.5738
O 0.1697 0.4709 0.9698
O 0.8906 0.3725 0.6420
O 0.2131 0.0259 0.3104
O 0.5047 0.6309 0.8579
O 0.1539 0.6567 0.0721
O 0.3498 0.5003 0.0709
O 0.1705 0.9667 0.1928
O 0.0192 0.1892 0.9114
O 0.8435 0.3198 0.2440
O 0.1287 0.6302 0.3594
O 0.8327 0.5327 0.0288
O 0.7964 0.8296 0.1930
O 0.5109 0.3669 0.4241
O 0.4811 0.3737 0.1402
O 0.8129 0.7876 0.3104
O 0.5378 0.6996 0.9732
O 0.4776 0.1556 0.2439
O 0.1964 0.1763 0.8122
O 0.9831 0.8175 0.0874
O 0.8428 0.5312 0.7478
O 0.3713 0.4959 0.3574
O 0.0206 0.8233 0.4159
O 0.8275 0.0214 0.8100
O 0.6354 0.5246 0.6435
O 0.8340 0.0149 0.0878
O 0.1668 0.9801 0.9110
O 0.6922 0.1547 0.0232
O 0.8949 0.5292 0.1440
O 0.8347 0.8164 0.5872
O 0.3439 0.8479 0.5750
O 0.1620 0.1985 0.6956
P 0.2900 0.9946 0.2509
P 0.6158 0.9567 0.4187
P 0.6252 0.6658 0.9163
P 0.9654 0.6283 0.0829
P 0.0047 0.2941 0.2520
P 0.3412 0.3848 0.4178
P 0.0433 0.6593 0.4187
P 0.0067 0.7187 0.7510
P 0.3303 0.9546 0.9164
P 0.7045 0.7101 0.2509
P 0.6687 0.0377 0.0811
P 0.2812 0.2873 0.7530
P 0.0418 0.3802 0.9156
P 0.3696 0.0388 0.5827
P 0.7121 0.9936 0.7520
P 0.6631 0.6277 0.5833
P 0.9655 0.3338 0.5830
P 0.3679 0.3345 0.0812
Na 0.6669 0.3334 0.3296
Na 0.6792 0.3475 0.8351
Na 0.6398 0.0069 0.2457
Na 0.3317 0.6510 0.6640
Na 0.6975 0.0328 0.9196
Na 0.3182 0.6505 0.1626
Na 0.3100 0.9732 0.0841
Na 0.9998 0.9989 0.0009
Na 0.3310 0.3006 0.9190
Na 0.7075 0.6730 0.4141
Na 0.3662 0.3588 0.2460
Na 0.6674 0.6911 0.0845
Na 0.9941 0.3677 0.7481
Na 0.6325 0.6260 0.7476
Na 0.3749 0.0060 0.7478
Na 0.0249 0.6922 0.5845
Na 0.6637 0.9732 0.5840
Na 0.9926 0.6329 0.2455
Na 0.3275 0.0345 0.4142
Na 0.9664 0.2937 0.4141
Na 0.0119 0.0133 0.5008
Al 0.3327 0.6632 0.5197
Al 0.0050 0.0050 0.6467
Al 0.6738 0.3395 0.9826
Al 0.6645 0.3324 0.4834
Al 0.9996 0.9957 0.8549
Al 0.3292 0.6640 0.0166
Al 0.3303 0.6644 0.8155
Al 0.3333 0.6657 0.3137
Al 0.0011 0.0060 0.1473
Mg 0.6656 0.3342 0.6837
Mg 0.6696 0.3349 0.1806
Mg 0.0002 0.0007 0.3530
CELL_PARAMETERS angstrom
-2.5772 8.0866 1.9679
-3.1551 -3.9762 -7.0790
-16.0548 -7.9708 11.6887
```

=====

Which of these has the highest total magnetization?
MgAlMoS4